Record 1
VASP calculation (PBE+U) on a relaxed structure of LiNiP2O7.

Cell: 7.007 8.408 9.242 Å, 90.00 112.08 90.00°
Element x y z (fractional)
Li1 0.226 0.071 0.101
Li2 0.226 0.429 0.601
Li3 0.774 0.571 0.399
Li4 0.774 0.929 0.899
Ni1 0.306 0.066 0.683
Ni2 0.306 0.434 0.183
Ni3 0.694 0.566 0.817
Ni4 0.694 0.934 0.317
P1 0.062 0.734 0.746
P2 0.062 0.766 0.246
P3 0.470 0.720 0.032
P4 0.470 0.780 0.532
P5 0.530 0.220 0.468
P6 0.530 0.280 0.968
P7 0.938 0.234 0.754
P8 0.938 0.266 0.254
O1 0.043 0.607 0.624
O2 0.043 0.893 0.124
O3 0.109 0.601 0.197
O4 0.109 0.899 0.697
O5 0.126 0.242 0.708
O6 0.126 0.258 0.208
O7 0.246 0.682 0.905
O8 0.246 0.818 0.405
O9 0.376 0.226 0.549
O10 0.376 0.274 0.049
O11 0.465 0.617 0.607
O12 0.465 0.883 0.107
O13 0.496 0.086 0.349
O14 0.496 0.414 0.849
O15 0.504 0.586 0.151
O16 0.504 0.914 0.651
O17 0.535 0.117 0.893
O18 0.535 0.383 0.393
O19 0.624 0.726 0.951
O20 0.624 0.774 0.451
O21 0.754 0.182 0.595
O22 0.754 0.318 0.095
O23 0.874 0.742 0.792
O24 0.874 0.758 0.292
O25 0.891 0.101 0.303
O26 0.891 0.399 0.803
O27 0.957 0.107 0.876
O28 0.957 0.393 0.376

Output
As for the crystal system: monoclinic. The calculation puts the formation energy at -2273.3 meV per atom. As for the magnetization: 0.27 μB per atom. As for the final energy: -6.437 eV per atom. The value obtained for the energy above the lowest structure with this stoichiometry is 24.9 meV/atom.


Record 2
VASP calculation (PBE+U) on a relaxed structure of LiNiPO4.

Cell: 4.288 14.292 4.766 Å, 90.00 90.00 90.00°
Element x y z (fractional)
Li1 0.000 0.248 0.250
Li2 0.000 0.752 0.750
Li3 0.500 0.252 0.750
Li4 0.500 0.748 0.250
Ni1 0.000 0.063 0.750
Ni2 0.000 0.937 0.250
Ni3 0.500 0.437 0.250
Ni4 0.500 0.563 0.750
P1 0.000 0.390 0.750
P2 0.000 0.610 0.250
P3 0.500 0.110 0.250
P4 0.500 0.890 0.750
O1 0.186 0.330 0.533
O2 0.186 0.670 0.033
O3 0.241 0.451 0.911
O4 0.241 0.549 0.411
O5 0.259 0.049 0.411
O6 0.259 0.951 0.911
O7 0.314 0.170 0.033
O8 0.314 0.830 0.533
O9 0.686 0.170 0.467
O10 0.686 0.830 0.967
O11 0.741 0.049 0.089
O12 0.741 0.951 0.589
O13 0.759 0.451 0.589
O14 0.759 0.549 0.089
O15 0.814 0.330 0.967
O16 0.814 0.670 0.467

Output
As for the crystal system: orthorhombic. The calculation puts the formation energy at -2298.2 meV per atom. As for the magnetization: 0.00 μB per atom. As for the final energy: -6.242 eV per atom. The value obtained for the energy above the lowest structure with this stoichiometry is 67.2 meV/atom.


Record 3
VASP calculation (PBE+U) on a relaxed structure of LiNi2P3O10.

Cell: 4.632 8.471 9.002 Å, 90.00 98.01 90.00°
Element x y z (fractional)
Li1 0.000 0.000 0.000
Li2 0.000 0.500 0.000
Ni1 0.036 0.069 0.336
Ni2 0.036 0.431 0.336
Ni3 0.964 0.569 0.664
Ni4 0.964 0.931 0.664
P1 0.329 0.250 0.821
P2 0.398 0.750 0.465
P3 0.462 0.250 0.146
P4 0.538 0.750 0.854
P5 0.602 0.250 0.535
P6 0.671 0.750 0.179
O1 0.158 0.098 0.812
O2 0.158 0.402 0.812
O3 0.228 0.598 0.486
O4 0.228 0.902 0.486
O5 0.233 0.750 0.761
O6 0.288 0.099 0.160
O7 0.288 0.401 0.160
O8 0.295 0.250 0.445
O9 0.435 0.750 0.290
O10 0.449 0.750 0.025
O11 0.551 0.250 0.975
O12 0.565 0.250 0.710
O13 0.705 0.750 0.555
O14 0.712 0.599 0.840
O15 0.712 0.901 0.840
O16 0.767 0.250 0.239
O17 0.772 0.098 0.514
O18 0.772 0.402 0.514
O19 0.842 0.598 0.188
O20 0.842 0.902 0.188

Output
As for the crystal system: monoclinic. The calculation puts the formation energy at -2382.9 meV per atom. As for the magnetization: 0.25 μB per atom. As for the final energy: -6.585 eV per atom. The value obtained for the energy above the lowest structure with this stoichiometry is 0.0 meV/atom.


Record 4
VASP calculation (PBE+U) on a relaxed structure of Li3Ni2P3O12.

Cell: 8.466 8.755 14.662 Å, 90.00 123.98 90.00°
Element x y z (fractional)
Li1 0.001 0.220 0.321
Li2 0.001 0.280 0.821
Li3 0.277 0.510 0.845
Li4 0.277 0.990 0.345
Li5 0.387 0.586 0.307
Li6 0.387 0.914 0.807
Li7 0.613 0.086 0.193
Li8 0.613 0.414 0.693
Li9 0.723 0.010 0.655
Li10 0.723 0.490 0.155
Li11 0.999 0.720 0.179
Li12 0.999 0.780 0.679
Ni1 0.135 0.534 0.389
Ni2 0.135 0.966 0.889
Ni3 0.351 0.529 0.104
Ni4 0.351 0.971 0.604
Ni5 0.649 0.029 0.396
Ni6 0.649 0.471 0.896
Ni7 0.865 0.034 0.111
Ni8 0.865 0.466 0.611
P1 0.037 0.109 0.647
P2 0.037 0.391 0.147
P3 0.264 0.617 0.652
P4 0.264 0.883 0.152
P5 0.449 0.249 0.491
P6 0.449 0.251 0.991
P7 0.551 0.749 0.009
P8 0.551 0.751 0.509
P9 0.736 0.117 0.848
P10 0.736 0.383 0.348
P11 0.963 0.609 0.853
P12 0.963 0.891 0.353
O1 0.018 0.233 0.188
O2 0.018 0.267 0.688
O3 0.122 0.509 0.243
O4 0.122 0.991 0.743
O5 0.130 0.579 0.691
O6 0.130 0.921 0.191
O7 0.162 0.118 0.602
O8 0.162 0.382 0.102
O9 0.165 0.572 0.531
O10 0.165 0.928 0.031
O11 0.170 0.550 0.938
O12 0.170 0.950 0.438
O13 0.247 0.185 0.934
O14 0.247 0.315 0.434
O15 0.286 0.706 0.167
O16 0.286 0.794 0.667
O17 0.398 0.627 0.445
O18 0.398 0.873 0.945
O19 0.454 0.530 0.722
O20 0.454 0.970 0.222
O21 0.455 0.166 0.399
O22 0.455 0.334 0.899
O23 0.492 0.137 0.584
O24 0.492 0.363 0.084
O25 0.508 0.637 0.916
O26 0.508 0.863 0.416
O27 0.545 0.666 0.101
O28 0.545 0.834 0.601
O29 0.546 0.030 0.778
O30 0.546 0.470 0.278
O31 0.602 0.127 0.055
O32 0.602 0.373 0.555
O33 0.714 0.206 0.333
O34 0.714 0.294 0.833
O35 0.753 0.685 0.566
O36 0.753 0.815 0.066
O37 0.830 0.050 0.562
O38 0.830 0.450 0.062
O39 0.835 0.072 0.969
O40 0.835 0.428 0.469
O41 0.838 0.618 0.898
O42 0.838 0.882 0.398
O43 0.870 0.079 0.809
O44 0.870 0.421 0.309
O45 0.878 0.009 0.257
O46 0.878 0.491 0.757
O47 0.982 0.733 0.312
O48 0.982 0.767 0.812

Output
As for the crystal system: monoclinic. The calculation puts the formation energy at -2265.6 meV per atom. As for the magnetization: 0.13 μB per atom. As for the final energy: -6.244 eV per atom. The value obtained for the energy above the lowest structure with this stoichiometry is 7.9 meV/atom.


Record 5
VASP calculation (PBE+U) on a relaxed structure of LiNiPO4.

Cell: 4.971 4.971 15.402 Å, 93.44 93.44 74.79°
Element x y z (fractional)
Li1 0.169 0.286 0.229
Li2 0.286 0.169 0.729
Li3 0.714 0.831 0.271
Li4 0.831 0.714 0.771
Ni1 0.123 0.570 0.589
Ni2 0.430 0.877 0.911
Ni3 0.570 0.123 0.089
Ni4 0.877 0.430 0.411
P1 0.201 0.765 0.377
P2 0.235 0.799 0.123
P3 0.765 0.201 0.877
P4 0.799 0.235 0.623
O1 0.055 0.069 0.356
O2 0.062 0.584 0.311
O3 0.069 0.055 0.856
O4 0.123 0.683 0.466
O5 0.297 0.481 0.131
O6 0.317 0.877 0.034
O7 0.416 0.938 0.189
O8 0.481 0.297 0.631
O9 0.519 0.703 0.369
O10 0.584 0.062 0.811
O11 0.683 0.123 0.966
O12 0.703 0.519 0.869
O13 0.877 0.317 0.534
O14 0.931 0.945 0.144
O15 0.938 0.416 0.689
O16 0.945 0.931 0.644

Output
As for the crystal system: monoclinic. The calculation puts the formation energy at -2268.1 meV per atom. As for the magnetization: 0.29 μB per atom. As for the final energy: -6.212 eV per atom. The value obtained for the energy above the lowest structure with this stoichiometry is 97.2 meV/atom.


Record 6
VASP calculation (PBE+U) on a relaxed structure of LiNi4P3O12.

Cell: 6.244 14.171 9.770 Å, 90.00 90.00 90.00°
Element x y z (fractional)
Li1 0.057 0.250 0.246
Li2 0.443 0.750 0.746
Li3 0.557 0.250 0.254
Li4 0.943 0.750 0.754
Ni1 0.136 0.616 0.352
Ni2 0.136 0.884 0.352
Ni3 0.147 0.596 0.958
Ni4 0.147 0.904 0.958
Ni5 0.353 0.096 0.458
Ni6 0.353 0.404 0.458
Ni7 0.364 0.116 0.852
Ni8 0.364 0.384 0.852
Ni9 0.636 0.616 0.148
Ni10 0.636 0.884 0.148
Ni11 0.647 0.596 0.542
Ni12 0.647 0.904 0.542
Ni13 0.853 0.096 0.042
Ni14 0.853 0.404 0.042
Ni15 0.864 0.116 0.648
Ni16 0.864 0.384 0.648
P1 0.008 0.750 0.097
P2 0.137 0.574 0.631
P3 0.137 0.926 0.631
P4 0.363 0.074 0.131
P5 0.363 0.426 0.131
P6 0.492 0.250 0.597
P7 0.508 0.750 0.403
P8 0.637 0.574 0.869
P9 0.637 0.926 0.869
P10 0.863 0.074 0.369
P11 0.863 0.426 0.369
P12 0.992 0.250 0.903
O1 0.035 0.118 0.467
O2 0.035 0.382 0.467
O3 0.060 0.014 0.706
O4 0.060 0.486 0.706
O5 0.061 0.750 0.943
O6 0.106 0.658 0.155
O7 0.106 0.842 0.155
O8 0.179 0.051 0.021
O9 0.179 0.449 0.021
O10 0.213 0.645 0.738
O11 0.213 0.855 0.738
O12 0.237 0.250 0.880
O13 0.263 0.750 0.380
O14 0.287 0.145 0.238
O15 0.287 0.355 0.238
O16 0.321 0.551 0.521
O17 0.321 0.949 0.521
O18 0.394 0.158 0.655
O19 0.394 0.342 0.655
O20 0.439 0.250 0.443
O21 0.440 0.514 0.206
O22 0.440 0.986 0.206
O23 0.465 0.618 0.967
O24 0.465 0.882 0.967
O25 0.535 0.118 0.033
O26 0.535 0.382 0.033
O27 0.560 0.014 0.794
O28 0.560 0.486 0.794
O29 0.561 0.750 0.557
O30 0.606 0.658 0.345
O31 0.606 0.842 0.345
O32 0.679 0.051 0.479
O33 0.679 0.449 0.479
O34 0.713 0.645 0.762
O35 0.713 0.855 0.762
O36 0.737 0.250 0.620
O37 0.763 0.750 0.120
O38 0.787 0.145 0.262
O39 0.787 0.355 0.262
O40 0.821 0.551 0.979
O41 0.821 0.949 0.979
O42 0.894 0.158 0.845
O43 0.894 0.342 0.845
O44 0.939 0.250 0.057
O45 0.940 0.514 0.294
O46 0.940 0.986 0.294
O47 0.965 0.618 0.533
O48 0.965 0.882 0.533

Output
As for the crystal system: orthorhombic. The calculation puts the formation energy at -2080.6 meV per atom. As for the magnetization: 0.40 μB per atom. As for the final energy: -6.192 eV per atom. The value obtained for the energy above the lowest structure with this stoichiometry is 92.5 meV/atom.


Record 7
VASP calculation (PBE+U) on a relaxed structure of Li2NiP2O7.

Cell: 5.218 6.548 8.702 Å, 111.11 97.34 104.53°
Element x y z (fractional)
Li1 0.179 0.293 0.276
Li2 0.312 0.788 0.966
Li3 0.688 0.212 0.034
Li4 0.821 0.707 0.724
Ni1 0.406 0.902 0.631
Ni2 0.594 0.098 0.369
P1 0.096 0.184 0.885
P2 0.265 0.356 0.625
P3 0.735 0.644 0.375
P4 0.904 0.816 0.115
O1 0.007 0.264 0.486
O2 0.101 0.325 0.066
O3 0.193 0.971 0.215
O4 0.199 0.372 0.806
O5 0.304 0.046 0.867
O6 0.423 0.609 0.671
O7 0.450 0.200 0.588
O8 0.550 0.800 0.412
O9 0.577 0.391 0.329
O10 0.696 0.954 0.133
O11 0.801 0.628 0.194
O12 0.807 0.029 0.785
O13 0.899 0.675 0.934
O14 0.993 0.736 0.514

Output
As for the crystal system: triclinic. The calculation puts the formation energy at -2481.5 meV per atom. As for the magnetization: 0.17 μB per atom. As for the final energy: -6.457 eV per atom. The value obtained for the energy above the lowest structure with this stoichiometry is 26.6 meV/atom.


Record 8
VASP calculation (PBE+U) on a relaxed structure of LiNi4P3O12.

Cell: 7.400 7.774 9.577 Å, 110.04 111.57 94.86°
Element x y z (fractional)
Li1 0.140 0.318 0.112
Li2 0.860 0.682 0.888
Ni1 0.211 0.898 0.208
Ni2 0.214 0.963 0.566
Ni3 0.222 0.596 0.578
Ni4 0.487 0.708 0.055
Ni5 0.513 0.292 0.945
Ni6 0.778 0.404 0.422
Ni7 0.786 0.037 0.434
Ni8 0.789 0.102 0.792
P1 0.096 0.365 0.752
P2 0.189 0.949 0.891
P3 0.477 0.254 0.565
P4 0.523 0.746 0.435
P5 0.811 0.051 0.109
P6 0.904 0.635 0.248
O1 0.029 0.487 0.650
O2 0.032 0.643 0.153
O3 0.038 0.078 0.162
O4 0.067 0.162 0.628
O5 0.242 0.867 0.741
O6 0.255 0.831 0.998
O7 0.302 0.078 0.441
O8 0.303 0.161 0.994
O9 0.321 0.451 0.873
O10 0.358 0.752 0.499
O11 0.413 0.438 0.592
O12 0.447 0.778 0.270
O13 0.553 0.222 0.730
O14 0.587 0.562 0.408
O15 0.642 0.248 0.501
O16 0.679 0.549 0.127
O17 0.697 0.839 0.006
O18 0.698 0.922 0.559
O19 0.745 0.169 0.002
O20 0.758 0.133 0.259
O21 0.933 0.838 0.372
O22 0.962 0.922 0.838
O23 0.968 0.357 0.847
O24 0.971 0.513 0.350

Output
As for the crystal system: triclinic. The calculation puts the formation energy at -2141.2 meV per atom. As for the magnetization: 0.40 μB per atom. As for the final energy: -6.253 eV per atom. The value obtained for the energy above the lowest structure with this stoichiometry is 32.0 meV/atom.